# Li2MnP4O12 (PBE+U, relaxed)
# energy relative to the lowest polymorph listed for this composition: 61 meV per atom
data_Li2MnP4O12
_cell_length_a 11.1423
_cell_length_b 7.4906
_cell_length_c 13.2139
_cell_angle_alpha 74.52
_cell_angle_beta 90.00
_cell_angle_gamma 90.00
_symmetry_space_group_name_H-M 'P 1'
_symmetry_Int_Tables_number 1
loop_
_symmetry_equiv_pos_as_xyz
'x,y,z'
loop_
_atom_site_label
_atom_site_fract_x
_atom_site_fract_y
_atom_site_fract_z
_atom_site_occupancy
O1 0.2745 0.6746 0.4106 1
O2 0.6691 0.9432 0.0238 1
O3 0.5684 0.9388 0.6382 1
O4 0.1691 0.0568 0.4762 1
O5 0.8402 0.0360 0.3203 1
O6 0.6420 0.9521 0.4178 1
O7 0.1469 0.4645 0.0786 1
O8 0.3402 0.9640 0.1797 1
O9 0.6469 0.5355 0.4214 1
O10 0.1420 0.0479 0.0822 1
O11 0.3768 0.5031 0.0519 1
O12 0.2255 0.6746 0.9106 1
O13 0.7419 0.2494 0.4117 1
O14 0.7316 0.7191 0.2469 1
O15 0.8768 0.4969 0.4481 1
O16 0.7684 0.7191 0.7469 1
O17 0.6598 0.0360 0.8203 1
O18 0.4044 0.8942 0.7779 1
O19 0.1232 0.5031 0.5519 1
O20 0.4774 0.2172 0.6840 1
O21 0.0226 0.2172 0.1840 1
O22 0.5477 0.5091 0.2462 1
O23 0.0477 0.4909 0.2538 1
O24 0.2419 0.7506 0.0883 1
O25 0.0956 0.8942 0.2779 1
O26 0.7255 0.3254 0.5894 1
O27 0.3309 0.0568 0.9762 1
O28 0.5956 0.1058 0.2221 1
O29 0.2581 0.7506 0.5883 1
O30 0.7581 0.2494 0.9117 1
O31 0.2316 0.2809 0.2531 1
O32 0.9044 0.1058 0.7221 1
O33 0.4523 0.4909 0.7538 1
O34 0.4316 0.0612 0.3618 1
O35 0.3531 0.4645 0.5786 1
O36 0.8580 0.9521 0.9178 1
O37 0.9523 0.5091 0.7462 1
O38 0.6232 0.4969 0.9481 1
O39 0.9316 0.9388 0.1382 1
O40 0.1598 0.9640 0.6797 1
O41 0.7745 0.3254 0.0894 1
O42 0.2684 0.2809 0.7531 1
O43 0.9774 0.7828 0.8160 1
O44 0.5226 0.7828 0.3160 1
O45 0.8309 0.9432 0.5238 1
O46 0.3580 0.0479 0.5822 1
O47 0.8531 0.5355 0.9214 1
O48 0.0684 0.0612 0.8618 1
P1 0.0446 0.0091 0.1765 1
P2 0.2250 0.9630 0.5816 1
P3 0.8838 0.6312 0.7982 1
P4 0.4554 0.0091 0.6765 1
P5 0.7547 0.4021 0.4759 1
P6 0.7453 0.4021 0.9759 1
P7 0.6162 0.6312 0.2982 1
P8 0.1162 0.3688 0.2018 1
P9 0.7250 0.0370 0.9184 1
P10 0.2453 0.5979 0.5241 1
P11 0.3838 0.3688 0.7018 1
P12 0.2750 0.9630 0.0816 1
P13 0.2547 0.5979 0.0241 1
P14 0.9554 0.9909 0.8235 1
P15 0.7750 0.0370 0.4184 1
P16 0.5446 0.9909 0.3235 1
Mn1 0.7404 0.0297 0.6677 1
Mn2 0.7596 0.0297 0.1677 1
Mn3 0.2596 0.9703 0.3323 1
Mn4 0.2404 0.9703 0.8323 1
Li1 0.0569 0.3368 0.4694 1
Li2 0.9431 0.6632 0.5306 1
Li3 0.4431 0.3368 0.9694 1
Li4 0.5569 0.6632 0.0306 1
Li5 0.4030 0.3715 0.2377 1
Li6 0.5970 0.6285 0.7623 1
Li7 0.9030 0.6285 0.2623 1
Li8 0.0970 0.3715 0.7377 1

# Ni4P3O12 (PBE+U, relaxed)
# energy relative to the lowest polymorph listed for this composition: 10 meV per atom
data_Ni4P3O12
_cell_length_a 6.1386
_cell_length_b 9.5717
_cell_length_c 16.2956
_cell_angle_alpha 90.00
_cell_angle_beta 90.00
_cell_angle_gamma 90.00
_symmetry_space_group_name_H-M 'P 1'
_symmetry_Int_Tables_number 1
loop_
_symmetry_equiv_pos_as_xyz
'x,y,z'
loop_
_atom_site_label
_atom_site_fract_x
_atom_site_fract_y
_atom_site_fract_z
_atom_site_occupancy
O1 0.8019 0.1598 0.0908 1
O2 0.2037 0.9092 0.6157 1
O3 0.2963 0.4092 0.8843 1
O4 0.1981 0.1598 0.0908 1
O5 0.3019 0.6598 0.4092 1
O6 0.2037 0.0908 0.3843 1
O7 0.0000 0.1155 0.2490 1
O8 0.6981 0.3402 0.5908 1
O9 0.2140 0.6078 0.6846 1
O10 0.5000 0.6155 0.2510 1
O11 0.0000 0.1185 0.6724 1
O12 0.2963 0.5908 0.1157 1
O13 0.0000 0.8650 0.0465 1
O14 0.5000 0.8662 0.4803 1
O15 0.5000 0.3650 0.4535 1
O16 0.7860 0.6078 0.6846 1
O17 0.6981 0.6598 0.4092 1
O18 0.7860 0.3922 0.3154 1
O19 0.0000 0.6064 0.8111 1
O20 0.5000 0.8849 0.7753 1
O21 0.0000 0.3849 0.7247 1
O22 0.0000 0.8845 0.7510 1
O23 0.0000 0.3936 0.1889 1
O24 0.0000 0.3662 0.0197 1
O25 0.5000 0.6185 0.8276 1
O26 0.0000 0.6151 0.2753 1
O27 0.5000 0.3845 0.7490 1
O28 0.5000 0.1064 0.6889 1
O29 0.8019 0.8402 0.9092 1
O30 0.7140 0.1078 0.8154 1
O31 0.5000 0.1338 0.5197 1
O32 0.0000 0.8815 0.3276 1
O33 0.2860 0.1078 0.8154 1
O34 0.5000 0.6350 0.5465 1
O35 0.0000 0.6338 0.9803 1
O36 0.1981 0.8402 0.9092 1
O37 0.5000 0.1151 0.2247 1
O38 0.2140 0.3922 0.3154 1
O39 0.0000 0.1350 0.9535 1
O40 0.2860 0.8922 0.1846 1
O41 0.7037 0.5908 0.1157 1
O42 0.3019 0.3402 0.5908 1
O43 0.5000 0.3815 0.1724 1
O44 0.7140 0.8922 0.1846 1
O45 0.7963 0.9092 0.6157 1
O46 0.5000 0.8936 0.3111 1
O47 0.7963 0.0908 0.3843 1
O48 0.7037 0.4092 0.8843 1
Ni1 0.2485 0.2485 0.7036 1
Ni2 0.5000 0.9665 0.5917 1
Ni3 0.7485 0.2515 0.2036 1
Ni4 0.2515 0.7485 0.7964 1
Ni5 0.0000 0.9906 0.1414 1
Ni6 0.0000 0.0094 0.8586 1
Ni7 0.7515 0.2485 0.7036 1
Ni8 0.0000 0.4665 0.9083 1
Ni9 0.2515 0.2515 0.2036 1
Ni10 0.2485 0.7515 0.2964 1
Ni11 0.5000 0.0335 0.4083 1
Ni12 0.0000 0.5335 0.0917 1
Ni13 0.7515 0.7515 0.2964 1
Ni14 0.7485 0.7485 0.7964 1
Ni15 0.5000 0.5094 0.6414 1
Ni16 0.5000 0.4906 0.3586 1
P1 0.0000 0.7935 0.9641 1
P2 0.0000 0.5463 0.7183 1
P3 0.0000 0.4537 0.2817 1
P4 0.5000 0.4566 0.8391 1
P5 0.0000 0.0434 0.3391 1
P6 0.5000 0.0463 0.7817 1
P7 0.5000 0.2935 0.5359 1
P8 0.5000 0.5434 0.1609 1
P9 0.0000 0.9566 0.6609 1
P10 0.0000 0.2065 0.0359 1
P11 0.5000 0.9537 0.2183 1
P12 0.5000 0.7065 0.4641 1

A plane-wave DFT calculation with PBE+U was carried out for CsV2CrO7 after structural relaxation.

Geometry as CIF:
```
data_CsV2CrO7
_cell_length_a 4.9940
_cell_length_b 7.0026
_cell_length_c 9.0088
_cell_angle_alpha 99.58
_cell_angle_beta 90.00
_cell_angle_gamma 90.00
_symmetry_space_group_name_H-M 'P 1'
_symmetry_Int_Tables_number 1
loop_
_symmetry_equiv_pos_as_xyz
'x,y,z'
loop_
_atom_site_label
_atom_site_fract_x
_atom_site_fract_y
_atom_site_fract_z
_atom_site_occupancy
O1 0.8830 0.1276 0.6745 1
O2 0.6771 0.5307 0.8088 1
O3 0.1170 0.8724 0.3255 1
O4 0.1572 0.1089 0.1008 1
O5 0.3229 0.0307 0.8088 1
O6 0.3229 0.4693 0.1912 1
O7 0.7140 0.2500 0.0000 1
O8 0.1170 0.6276 0.6745 1
O9 0.8428 0.6089 0.1008 1
O10 0.6771 0.9693 0.1912 1
O11 0.8830 0.3724 0.3255 1
O12 0.8428 0.8911 0.8992 1
O13 0.1572 0.3911 0.8992 1
O14 0.2860 0.7500 0.0000 1
Cs1 0.3858 0.2500 0.5000 1
Cs2 0.6142 0.7500 0.5000 1
V1 0.0055 0.3725 0.1561 1
V2 0.9945 0.8725 0.1561 1
V3 0.0055 0.1275 0.8439 1
V4 0.9945 0.6275 0.8439 1
Cr1 0.5000 0.0000 0.0000 1
Cr2 0.5000 0.5000 0.0000 1
```

# Ti2NiP2O10 (PBE+U, relaxed)
# energy relative to the lowest polymorph listed for this composition: 5 meV per atom
data_Ti2NiP2O10
_cell_length_a 7.3610
_cell_length_b 6.5031
_cell_length_c 7.3611
_cell_angle_alpha 89.23
_cell_angle_beta 90.00
_cell_angle_gamma 90.00
_symmetry_space_group_name_H-M 'P 1'
_symmetry_Int_Tables_number 1
loop_
_symmetry_equiv_pos_as_xyz
'x,y,z'
loop_
_atom_site_label
_atom_site_fract_x
_atom_site_fract_y
_atom_site_fract_z
_atom_site_occupancy
P1 0.8741 0.7444 0.3725 1
P2 0.6259 0.7444 0.8725 1
P3 0.3741 0.2556 0.1275 1
P4 0.1259 0.2556 0.6275 1
Ni1 0.0000 0.5000 0.0000 1
Ni2 0.5000 0.5000 0.5000 1
O1 0.7439 0.5596 0.3774 1
O2 0.2439 0.4404 0.1226 1
O3 0.2610 0.0574 0.1427 1
O4 0.9987 0.2787 0.7948 1
O5 0.2390 0.0574 0.6427 1
O6 0.4987 0.7213 0.7052 1
O7 0.6601 0.2729 0.6138 1
O8 0.4894 0.2500 0.9526 1
O9 0.5106 0.7500 0.0474 1
O10 0.0106 0.2500 0.4526 1
O11 0.5013 0.2787 0.2948 1
O12 0.7561 0.5596 0.8774 1
O13 0.1601 0.7271 0.8862 1
O14 0.8399 0.2729 0.1138 1
O15 0.0013 0.7213 0.2052 1
O16 0.9894 0.7500 0.5474 1
O17 0.2561 0.4404 0.6226 1
O18 0.7610 0.9426 0.3573 1
O19 0.3399 0.7271 0.3862 1
O20 0.7390 0.9426 0.8573 1
Ti1 0.7240 0.2363 0.8409 1
Ti2 0.2760 0.7637 0.1591 1
Ti3 0.7760 0.2363 0.3409 1
Ti4 0.2240 0.7637 0.6591 1

Number 1: final energy -7.011 eV/atom, formation energy from the elements -2.585 eV per atom. Number 2: final energy -6.266 eV/atom, formation energy from the elements -2.038 eV per atom. Number 3: final energy -7.199 eV/atom, formation energy from the elements -2.368 eV per atom. Number 4: final energy -7.709 eV/atom, formation energy from the elements -2.878 eV per atom.